Below is YMo6Se8 after structural relaxation, with properties calculated at the PBE level.

Results
E ... -7.33 eV/atom
Calculated density ... 6.9 g/cm3
ΔE_f ... -14.290 eV/f.u.

Cell: 9.5306 9.5306 11.9060 Å, 90.00 90.00 120.00°
Space group R-3 (No. 148, hexagonal axes)
Unique sites:
Y1 0.0000 0.0000 0.0000 (multiplicity 3)
Mo1 0.0174 0.1712 0.4053 (multiplicity 18)
Se1 0.0000 0.0000 0.2369 (multiplicity 6)
Se2 0.0057 0.6276 0.7499 (multiplicity 18)